Here is a geometry-optimized Rb2V2Si8O21 structure from the Materials Project database. Energies are from PBE with a Hubbard U.

```
data_Rb2V2Si8O21
_chemical_formula_sum 'Rb4 V4 Si16 O42'
_space_group_name_H-M_alt 'P m c 21'
_space_group_IT_number 26
_space_group_name_Hall 'P 2c -2'
_cell_length_a 11.2509
_cell_length_b 10.4377
_cell_length_c 8.8634
_cell_angle_alpha 90.00
_cell_angle_beta 90.00
_cell_angle_gamma 90.00
loop_
_atom_site_label
_atom_site_fract_x
_atom_site_fract_y
_atom_site_fract_z
Rb1 0.0000 0.1052 0.0000
Rb2 0.5000 0.3898 0.2237
V1 0.5000 0.0402 0.2080
V2 0.5000 0.2589 0.7866
Si1 0.1367 0.3985 0.1998
Si2 0.2389 0.1385 0.3357
Si3 0.2421 0.3666 0.8722
Si4 0.2442 0.1205 0.6941
O1 0.0000 0.4422 0.2317
O2 0.1552 0.3855 0.0189
O3 0.1574 0.2574 0.2734
O4 0.1765 0.0087 0.2595
O5 0.1842 0.2437 0.7795
O6 0.2099 0.1272 0.5163
O7 0.2281 0.4970 0.7693
O8 0.3763 0.1517 0.2942
O9 0.3786 0.3420 0.9140
O10 0.3860 0.1122 0.7286
O11 0.5000 0.0747 0.0264
O12 0.5000 0.3452 0.6319
```

Output
V   1040.86 Å³ per cell
Crystal system   orthorhombic
MP2020-corrected energy   -267.942 eV/f.u.
Formation enthalpy at 0 K   -100.50 eV/f.u.
Raw total energy   -0.279 hartree per atom
Magnetic moment   4.00 μB/cell


Here is a geometry-optimized Rb2SrV4O12 structure from the Materials Project database. Energies are from PBE with a Hubbard U.

```
data_Rb2SrV4O12
_chemical_formula_sum 'Rb4 Sr2 V8 O24'
_space_group_name_H-M_alt 'P 4/n b m'
_space_group_IT_number 125
_cell_length_a 11.2901
_cell_length_b 11.2901
_cell_length_c 5.5931
_cell_angle_alpha 90.00
_cell_angle_beta 90.00
_cell_angle_gamma 90.00
loop_
_space_group_symop_operation_xyz
'x,y,z'
'-x,-y,-z'
'-y+1/2,x,z'
'y+1/2,-x,-z'
'-x+1/2,-y+1/2,z'
'x+1/2,y+1/2,-z'
'y,-x+1/2,z'
'-y,x+1/2,-z'
'x,-y+1/2,-z'
'-x,y+1/2,z'
'-y+1/2,-x+1/2,-z'
'y+1/2,x+1/2,z'
'-x+1/2,y,-z'
'x+1/2,-y,z'
'y,x,-z'
'-y,-x,z'
loop_
_atom_site_label
_atom_site_fract_x
_atom_site_fract_y
_atom_site_fract_z
Rb1 0.0000 0.0000 0.0000
Sr1 0.2500 0.2500 0.0000
V1 0.0282 0.7500 0.5000
O1 0.0559 0.2250 0.2580
O2 0.1207 0.6207 0.5581
```

Output
V   712.93 Å³ per cell
Crystal system   tetragonal
MP2020-corrected energy   -148.018 eV/f.u.
Formation enthalpy at 0 K   -48.66 eV/f.u.
Raw total energy   -0.257 hartree per atom
Magnetic moment   0.02 μB/cell


Here is a geometry-optimized Rb2TeW3O12 structure from the Materials Project database. Energies are from PBE with a Hubbard U.

```
data_Rb2TeW3O12
_chemical_formula_sum 'Rb4 Te2 W6 O24'
_space_group_name_H-M_alt 'P 63 m c'
_space_group_IT_number 186
_space_group_name_Hall 'P 6c -2c'
_cell_length_a 7.4221
_cell_length_b 7.4221
_cell_length_c 12.4974
_cell_angle_alpha 90.00
_cell_angle_beta 90.00
_cell_angle_gamma 120.00
loop_
_atom_site_label
_atom_site_fract_x
_atom_site_fract_y
_atom_site_fract_z
Rb1 0.3333 0.6667 0.0000
Rb2 0.3333 0.6667 0.3816
Te1 0.0000 0.0000 0.4345
W1 0.1689 0.3377 0.6736
O1 0.0884 0.5442 0.6361
O2 0.1240 0.2480 0.1837
O3 0.1313 0.2626 0.5072
O4 0.1940 0.3880 0.8143
```

Output
V   596.21 Å³ per cell
Crystal system   hexagonal
Relative energy among the computed polymorphs   0 meV/atom
MP2020-corrected energy   -142.080 eV/f.u.
Formation enthalpy at 0 K   -38.73 eV/f.u.
Raw total energy   -0.246 hartree per atom
Magnetic moment   0.00 μB/cell


Here is a geometry-optimized Rb2TeW3O12 structure from the Materials Project database. Energies are from PBE with a Hubbard U.

```
data_Rb2TeW3O12
_chemical_formula_sum 'Rb4 Te2 W6 O24'
_space_group_name_H-M_alt 'P 3 1 c'
_space_group_IT_number 159
_space_group_name_Hall 'P 3 -2c'
_cell_length_a 7.4072
_cell_length_b 7.4072
_cell_length_c 12.4951
_cell_angle_alpha 90.00
_cell_angle_beta 90.00
_cell_angle_gamma 120.00
loop_
_atom_site_label
_atom_site_fract_x
_atom_site_fract_y
_atom_site_fract_z
Rb1 0.3333 0.6667 0.0000
Rb2 0.3333 0.6667 0.3784
Te1 0.0000 0.0000 0.4366
W1 0.1458 0.3383 0.6746
O1 0.0883 0.5484 0.6376
O2 0.1204 0.8733 0.1840
O3 0.1299 0.8662 0.5084
O4 0.1921 0.3885 0.8135
```

Output
V   593.71 Å³ per cell
Crystal system   trigonal
Relative energy among the computed polymorphs   12 meV/atom
MP2020-corrected energy   -141.870 eV/f.u.
Formation enthalpy at 0 K   -38.52 eV/f.u.
Raw total energy   -0.246 hartree per atom
Magnetic moment   0.08 μB/cell


Here is a geometry-optimized Rb2TiW3O12 structure from the Materials Project database. Energies are from PBE with a Hubbard U.

```
data_Rb2TiW3O12
_chemical_formula_sum 'Rb4 Ti2 W6 O24'
_space_group_name_H-M_alt 'C 1 2 1'
_space_group_IT_number 5
_space_group_name_Hall 'C 2y'
_cell_length_a 12.6431
_cell_length_b 7.3897
_cell_length_c 7.3236
_cell_angle_alpha 90.00
_cell_angle_beta 124.68
_cell_angle_gamma 90.00
loop_
_atom_site_label
_atom_site_fract_x
_atom_site_fract_y
_atom_site_fract_z
Rb1 0.1421 0.0000 0.3905
Ti1 0.0000 0.5343 0.0000
W1 0.0000 0.5338 0.5000
W2 0.2497 0.2839 0.0001
O1 0.0610 0.5369 0.3144
O2 0.1265 0.3490 0.6870
O3 0.1258 0.7222 0.6871
O4 0.1273 0.3490 0.0622
O5 0.1268 0.7228 0.0608
O6 0.1873 0.0352 0.9391
```

Output
V   562.69 Å³ per cell
Crystal system   monoclinic
MP2020-corrected energy   -152.976 eV/f.u.
Formation enthalpy at 0 K   -44.87 eV/f.u.
Raw total energy   -0.268 hartree per atom
Magnetic moment   0.00 μB/cell


Here is a geometry-optimized RbTmW2O8 structure from the Materials Project database. Energies are from PBE with a Hubbard U.

```
data_RbTmW2O8
_chemical_formula_sum 'Rb1 Tm1 W2 O8'
_space_group_name_H-M_alt 'P -3 m 1'
_space_group_IT_number 164
_space_group_name_Hall '-P 3 2"'
_cell_length_a 6.0896
_cell_length_b 6.0896
_cell_length_c 8.0627
_cell_angle_alpha 90.00
_cell_angle_beta 90.00
_cell_angle_gamma 120.00
loop_
_atom_site_label
_atom_site_fract_x
_atom_site_fract_y
_atom_site_fract_z
Rb1 0.0000 0.0000 0.0000
Tm1 0.0000 0.0000 0.5000
W1 0.3333 0.6667 0.2663
O1 0.1684 0.3369 0.3365
O2 0.3333 0.6667 0.0466
```

Output
V   258.93 Å³ per cell
Crystal system   trigonal
MP2020-corrected energy   -102.671 eV/f.u.
Formation enthalpy at 0 K   -31.71 eV/f.u.
Raw total energy   -0.270 hartree per atom
Magnetic moment   0.00 μB/cell


Here is a geometry-optimized RbTmW2O8 structure from the Materials Project database. Energies are from PBE with a Hubbard U.

```
data_RbTmW2O8
_chemical_formula_sum 'Rb4 Tm4 W8 O32'
_space_group_name_H-M_alt 'P 1 21/c 1'
_space_group_IT_number 14
_space_group_name_Hall '-P 2ybc'
_cell_length_a 9.0416
_cell_length_b 10.3675
_cell_length_c 8.0287
_cell_angle_alpha 90.00
_cell_angle_beta 99.25
_cell_angle_gamma 90.00
loop_
_atom_site_label
_atom_site_fract_x
_atom_site_fract_y
_atom_site_fract_z
Rb1 0.0118 0.2134 0.0729
Tm1 0.4397 0.2231 0.9786
W1 0.2798 0.5096 0.2130
W2 0.3377 0.5107 0.8212
O1 0.1055 0.5865 0.1500
O2 0.1703 0.5873 0.7321
O3 0.2324 0.1312 0.8352
O4 0.2746 0.1040 0.4967
O5 0.3468 0.1375 0.1948
O6 0.3668 0.6147 0.3871
O7 0.4100 0.6024 0.0485
O8 0.4914 0.6105 0.7437
```

Output
V   742.82 Å³ per cell
Crystal system   monoclinic
MP2020-corrected energy   -102.892 eV/f.u.
Formation enthalpy at 0 K   -31.94 eV/f.u.
Raw total energy   -0.271 hartree per atom
Magnetic moment   0.00 μB/cell


Here is a geometry-optimized Rb6U2W4O21 structure from the Materials Project database. Energies are from PBE with a Hubbard U.

```
data_Rb6U2W4O21
_chemical_formula_sum 'Rb24 U8 W16 O84'
_space_group_name_H-M_alt 'P -1'
_space_group_IT_number 2
_space_group_name_Hall '-P 1'
_cell_length_a 10.3586
_cell_length_b 13.4351
_cell_length_c 19.1774
_cell_angle_alpha 98.00
_cell_angle_beta 96.52
_cell_angle_gamma 104.19
loop_
_atom_site_label
_atom_site_fract_x
_atom_site_fract_y
_atom_site_fract_z
Rb1 0.0226 0.0736 0.2638
Rb2 0.0599 0.5617 0.1010
Rb3 0.0926 0.2888 0.4562
Rb4 0.1465 0.7352 0.3073
Rb5 0.2018 0.4366 0.6518
Rb6 0.2321 0.0713 0.9948
Rb7 0.3029 0.9280 0.5289
Rb8 0.3037 0.5615 0.8553
Rb9 0.3548 0.2691 0.1936
Rb10 0.4098 0.7338 0.0472
Rb11 0.4544 0.4318 0.4004
Rb12 0.4545 0.9351 0.2339
U1 0.0603 0.7788 0.9095
U2 0.2419 0.2323 0.7921
U3 0.2787 0.7767 0.7038
U4 0.4419 0.2338 0.6025
W1 0.0507 0.0965 0.5943
W2 0.0653 0.4023 0.2725
W3 0.1107 0.8790 0.1257
W4 0.2235 0.6316 0.4888
W5 0.2739 0.3637 0.0075
W6 0.3666 0.1218 0.3833
W7 0.3911 0.8764 0.8844
W8 0.4462 0.5960 0.2302
O1 0.0058 0.4972 0.7554
O2 0.0202 0.0424 0.4273
O3 0.0201 0.8980 0.8873
O4 0.0372 0.1369 0.8290
O5 0.0507 0.6792 0.6792
O6 0.0559 0.8576 0.0293
O7 0.0586 0.5906 0.4363
O8 0.0594 0.8300 0.4396
O9 0.0785 0.1353 0.6912
O10 0.0871 0.3112 0.1963
O11 0.0966 0.6576 0.9328
O12 0.1669 0.3438 0.7877
O13 0.1678 0.2839 0.0613
O14 0.2028 0.7859 0.1479
O15 0.2092 0.4721 0.9881
O16 0.2128 0.7903 0.8228
O17 0.2144 0.7100 0.5738
O18 0.2161 0.1369 0.5661
O19 0.2192 0.0077 0.1560
O20 0.2199 0.4563 0.3317
O21 0.2245 0.8929 0.6872
O22 0.2710 0.8641 0.9551
O23 0.2717 0.9927 0.3410
O24 0.2729 0.2777 0.9239
O25 0.2744 0.2144 0.3608
O26 0.2817 0.5203 0.5074
O27 0.2892 0.5287 0.1755
O28 0.3027 0.1171 0.8000
O29 0.3275 0.6552 0.7142
O30 0.3429 0.7161 0.4438
O31 0.3494 0.2733 0.6995
O32 0.3900 0.6733 0.3040
O33 0.3997 0.3459 0.5670
O34 0.4081 0.1308 0.4798
O35 0.4431 0.4075 0.0538
O36 0.4438 0.8613 0.7902
O37 0.4598 0.0148 0.9063
O38 0.4601 0.3378 0.8355
O39 0.4717 0.8455 0.6497
O40 0.4807 0.1154 0.6272
O41 0.4837 0.5058 0.7429
O42 0.4934 0.1894 0.0766
```

Output
V   2531.87 Å³ per cell
Crystal system   triclinic
MP2020-corrected energy   -269.417 eV/f.u.
Formation enthalpy at 0 K   -85.21 eV/f.u.
Raw total energy   -0.264 hartree per atom
Magnetic moment   0.01 μB/cell